1.
Na6Zr4Ti4Si7S5O48, optimized geometry, DFT PBE-GGA; formation energy = -2.88 eV per atom; total magnetization = 0.00 μB/f.u.; E (MP2020) = -7.8752 eV per atom
1.0
8.913 0.000 0.000
0.004 15.537 0.000
0.030 0.030 22.957
Na Zr Ti Si S O
18 12 12 21 15 144
direct
0.000 0.000 0.000 Na
0.000 0.659 0.165 Na
0.002 0.335 0.838 Na
0.002 0.998 0.505 Na
0.005 0.662 0.675 Na
0.012 0.334 0.329 Na
0.132 0.833 0.081 Na
0.149 0.165 0.420 Na
0.353 0.665 0.917 Na
0.372 0.332 0.583 Na
0.497 0.834 0.827 Na
0.499 0.157 0.171 Na
0.503 0.498 0.000 Na
0.505 0.835 0.340 Na
0.506 0.157 0.666 Na
0.509 0.501 0.505 Na
0.647 0.332 0.082 Na
0.860 0.833 0.589 Na
0.002 0.009 0.145 Zr
0.006 0.334 0.484 Zr
0.007 0.000 0.652 Zr
0.007 0.997 0.355 Zr
0.008 0.663 0.024 Zr
0.497 0.163 0.526 Zr
0.498 0.498 0.854 Zr
0.498 0.505 0.149 Zr
0.500 0.835 0.983 Zr
0.506 0.509 0.645 Zr
0.508 0.163 0.023 Zr
0.998 0.665 0.525 Zr
0.000 0.666 0.316 Ti
0.015 0.985 0.850 Ti
0.028 0.668 0.815 Ti
0.477 0.160 0.318 Ti
0.482 0.493 0.353 Ti
0.504 0.166 0.815 Ti
0.506 0.833 0.179 Ti
0.521 0.835 0.696 Ti
0.528 0.836 0.481 Ti
0.977 0.337 0.978 Ti
0.999 0.332 0.680 Ti
0.999 0.333 0.190 Ti
0.140 0.517 0.917 Si
0.141 0.185 0.585 Si
0.146 0.813 0.918 Si
0.147 0.478 0.587 Si
0.148 0.149 0.252 Si
0.200 0.500 0.252 Si
0.302 0.000 0.753 Si
0.359 0.649 0.752 Si
0.360 0.312 0.417 Si
0.361 0.978 0.087 Si
0.362 0.688 0.085 Si
0.363 0.014 0.420 Si
0.637 0.695 0.585 Si
0.645 0.973 0.588 Si
0.646 0.308 0.917 Si
0.713 0.332 0.586 Si
0.793 0.831 0.085 Si
0.857 0.808 0.418 Si
0.863 0.473 0.087 Si
0.863 0.847 0.753 Si
0.866 0.195 0.084 Si
0.153 0.848 0.252 S
0.212 0.164 0.916 S
0.223 0.832 0.584 S
0.285 0.331 0.085 S
0.293 0.663 0.415 S
0.353 0.348 0.751 S
0.647 0.352 0.254 S
0.650 0.645 0.255 S
0.653 0.022 0.914 S
0.703 0.998 0.252 S
0.715 0.666 0.916 S
0.789 0.166 0.415 S
0.802 0.496 0.752 S
0.853 0.522 0.414 S
0.856 0.146 0.755 S
0.068 0.090 0.590 O
0.069 0.567 0.861 O
0.070 0.910 0.909 O
0.071 0.428 0.643 O
0.073 0.420 0.927 O
0.073 0.572 0.582 O
0.075 0.244 0.241 O
0.077 0.106 0.311 O
0.077 0.774 0.978 O
0.078 0.227 0.525 O
0.083 0.761 0.261 O
0.085 0.885 0.199 O
0.100 0.414 0.245 O
0.100 0.586 0.267 O
0.107 0.251 0.641 O
0.112 0.747 0.863 O
0.114 0.088 0.909 O
0.117 0.908 0.588 O
0.119 0.754 0.578 O
0.120 0.903 0.303 O
0.122 0.581 0.974 O
0.123 0.084 0.198 O
0.124 0.244 0.922 O
0.125 0.419 0.529 O
0.175 0.654 0.759 O
0.176 0.318 0.417 O
0.179 0.012 0.410 O
0.179 0.980 0.094 O
0.180 0.684 0.085 O
0.184 0.987 0.808 O
0.188 0.339 0.747 O
0.191 0.673 0.364 O
0.196 0.320 0.139 O
0.197 0.022 0.697 O
0.198 0.345 0.032 O
0.204 0.646 0.469 O
0.306 0.150 0.970 O
0.308 0.820 0.638 O
0.311 0.843 0.530 O
0.313 0.517 0.198 O
0.315 0.175 0.865 O
0.318 0.839 0.248 O
0.321 0.487 0.308 O
0.324 0.185 0.584 O
0.325 0.511 0.910 O
0.328 0.479 0.593 O
0.330 0.818 0.919 O
0.334 0.157 0.260 O
0.382 0.919 0.029 O
0.383 0.082 0.473 O
0.385 0.584 0.698 O
0.385 0.741 0.420 O
0.386 0.254 0.081 O
0.386 0.403 0.803 O
0.392 0.407 0.092 O
0.394 0.586 0.406 O
0.398 0.751 0.142 O
0.399 0.246 0.362 O
0.403 0.915 0.745 O
0.407 0.086 0.768 O
0.421 0.385 0.698 O
0.423 0.261 0.761 O
0.429 0.727 0.025 O
0.430 0.744 0.741 O
0.431 0.275 0.477 O
0.431 0.605 0.811 O
0.432 0.065 0.361 O
0.432 0.919 0.426 O
0.433 0.073 0.083 O
0.435 0.928 0.143 O
0.436 0.592 0.091 O
0.437 0.408 0.405 O
0.569 0.740 0.525 O
0.571 0.925 0.644 O
0.574 0.068 0.580 O
0.574 0.597 0.587 O
0.576 0.267 0.977 O
0.581 0.405 0.909 O
0.581 0.731 0.249 O
0.583 0.065 0.864 O
0.583 0.265 0.261 O
0.583 0.936 0.919 O
0.584 0.390 0.200 O
0.585 0.600 0.306 O
0.603 0.244 0.863 O
0.603 0.414 0.594 O
0.607 0.920 0.247 O
0.609 0.246 0.583 O
0.612 0.078 0.259 O
0.613 0.410 0.304 O
0.613 0.754 0.642 O
0.614 0.588 0.913 O
0.614 0.742 0.920 O
0.615 0.913 0.528 O
0.620 0.072 0.969 O
0.628 0.593 0.201 O
0.674 0.814 0.422 O
0.678 0.474 0.094 O
0.680 0.820 0.143 O
0.680 0.844 0.748 O
0.681 0.188 0.079 O
0.688 0.155 0.762 O
0.689 0.515 0.407 O
0.692 0.848 0.028 O
0.695 0.175 0.363 O
0.702 0.154 0.469 O
0.705 0.483 0.804 O
0.706 0.507 0.700 O
0.799 0.009 0.200 O
0.800 0.985 0.304 O
0.802 0.654 0.970 O
0.809 0.675 0.864 O
0.813 0.348 0.527 O
0.814 0.346 0.249 O
0.817 0.017 0.909 O
0.817 0.654 0.262 O
0.823 0.687 0.578 O
0.826 0.320 0.642 O
0.829 0.976 0.591 O
0.830 0.314 0.922 O
0.877 0.094 0.701 O
0.883 0.572 0.468 O
0.889 0.412 0.029 O
0.890 0.089 0.411 O
0.890 0.242 0.419 O
0.894 0.575 0.758 O
0.897 0.254 0.142 O
0.897 0.418 0.747 O
0.898 0.746 0.084 O
0.898 0.915 0.807 O
0.903 0.744 0.362 O
0.903 0.914 0.095 O
0.922 0.103 0.806 O
0.923 0.436 0.418 O
0.924 0.233 0.748 O
0.924 0.566 0.363 O
0.925 0.904 0.408 O
0.929 0.751 0.765 O
0.931 0.098 0.088 O
0.931 0.568 0.081 O
0.932 0.766 0.475 O
0.933 0.890 0.693 O
0.936 0.424 0.144 O
0.938 0.241 0.026 O



2.
SiN2F4, optimized geometry, DFT PBE-GGA; formation energy = -0.67 eV per atom; total magnetization = 6.00 μB/f.u.; E (MP2020) = -4.9243 eV per atom
1.0
-2.702 2.722 18.019
2.702 -2.722 18.019
2.702 2.722 -18.019
Si N F
3 6 12
direct
0.000 0.000 0.000 Si
0.321 0.821 0.500 Si
0.679 0.179 0.500 Si
0.058 0.058 0.000 N
0.263 0.763 0.500 N
0.381 0.881 0.500 N
0.619 0.119 0.500 N
0.737 0.237 0.500 N
0.942 0.942 0.000 N
0.108 0.037 0.501 F
0.108 0.607 0.072 F
0.214 0.215 0.429 F
0.214 0.785 0.999 F
0.464 0.393 0.501 F
0.464 0.963 0.072 F
0.536 0.037 0.928 F
0.536 0.607 0.499 F
0.786 0.215 0.001 F
0.786 0.785 0.571 F
0.892 0.393 0.928 F
0.892 0.963 0.499 F



3.
K2Ag6Sn3S10, optimized geometry, DFT PBE-GGA; formation energy = -0.67 eV per atom; E (MP2020) = -4.1238 eV per atom
1.0
24.761 0.000 0.000
0.000 6.444 0.000
0.000 0.000 13.518
K Ag Sn S
8 24 12 40
direct
0.179 0.075 0.214 K
0.179 0.925 0.714 K
0.321 0.425 0.714 K
0.321 0.575 0.214 K
0.679 0.425 0.786 K
0.679 0.575 0.286 K
0.821 0.075 0.286 K
0.821 0.925 0.786 K
0.041 0.419 0.915 Ag
0.041 0.581 0.415 Ag
0.092 0.009 0.471 Ag
0.092 0.991 0.971 Ag
0.100 0.449 0.710 Ag
0.100 0.551 0.210 Ag
0.400 0.051 0.210 Ag
0.400 0.949 0.710 Ag
0.408 0.491 0.971 Ag
0.408 0.509 0.471 Ag
0.459 0.081 0.415 Ag
0.459 0.919 0.915 Ag
0.541 0.081 0.085 Ag
0.541 0.919 0.585 Ag
0.592 0.491 0.529 Ag
0.592 0.509 0.029 Ag
0.600 0.051 0.290 Ag
0.600 0.949 0.790 Ag
0.900 0.449 0.790 Ag
0.900 0.551 0.290 Ag
0.908 0.009 0.029 Ag
0.908 0.991 0.529 Ag
0.959 0.419 0.585 Ag
0.959 0.581 0.085 Ag
0.000 0.025 0.250 Sn
0.000 0.975 0.750 Sn
0.201 0.450 0.942 Sn
0.201 0.550 0.442 Sn
0.299 0.050 0.442 Sn
0.299 0.950 0.942 Sn
0.500 0.475 0.750 Sn
0.500 0.525 0.250 Sn
0.701 0.050 0.058 Sn
0.701 0.950 0.558 Sn
0.799 0.450 0.558 Sn
0.799 0.550 0.058 Sn
0.040 0.198 0.622 S
0.040 0.802 0.122 S
0.069 0.239 0.328 S
0.069 0.761 0.828 S
0.121 0.337 0.033 S
0.121 0.663 0.533 S
0.196 0.410 0.768 S
0.196 0.590 0.268 S
0.212 0.189 0.502 S
0.212 0.811 0.002 S
0.288 0.311 0.002 S
0.288 0.689 0.502 S
0.304 0.090 0.268 S
0.304 0.910 0.768 S
0.379 0.163 0.533 S
0.379 0.837 0.033 S
0.431 0.261 0.828 S
0.431 0.739 0.328 S
0.460 0.302 0.122 S
0.460 0.698 0.622 S
0.540 0.302 0.378 S
0.540 0.698 0.878 S
0.569 0.261 0.672 S
0.569 0.739 0.172 S
0.621 0.163 0.967 S
0.621 0.837 0.467 S
0.696 0.090 0.232 S
0.696 0.910 0.732 S
0.712 0.311 0.498 S
0.712 0.689 0.998 S
0.788 0.189 0.998 S
0.788 0.811 0.498 S
0.804 0.410 0.732 S
0.804 0.590 0.232 S
0.879 0.337 0.467 S
0.879 0.663 0.967 S
0.931 0.239 0.172 S
0.931 0.761 0.672 S
0.960 0.198 0.878 S
0.960 0.802 0.378 S



4.
MgSb2O4, optimized geometry, DFT PBE-GGA; formation energy = -1.76 eV per atom; total magnetization = 0.00 μB/f.u.; E (MP2020) = -5.9949 eV per atom; polymorph energy (0 for the lowest one) = 2.88 eV per formula unit
1.0
0.000 4.739 4.739
4.739 0.000 4.739
4.739 4.739 0.000
Mg Sb O
2 4 8
direct
0.125 0.125 0.125 Mg
0.875 0.875 0.875 Mg
0.000 0.500 0.500 Sb
0.500 0.000 0.500 Sb
0.500 0.500 0.000 Sb
0.500 0.500 0.500 Sb
0.251 0.251 0.251 O
0.251 0.251 0.747 O
0.251 0.747 0.251 O
0.253 0.749 0.749 O
0.747 0.251 0.251 O
0.749 0.253 0.749 O
0.749 0.749 0.253 O
0.749 0.749 0.749 O



5.
NaUHOF5, optimized geometry, DFT PBE-GGA; formation energy = -3.00 eV per atom; total magnetization = 2.34 μB/f.u.; E (MP2020) = -6.3928 eV per atom
1.0
6.979 0.000 0.000
0.000 8.748 0.000
0.000 0.000 15.394
Na U H O F
8 8 8 8 40
direct
0.203 0.140 0.186 Na
0.203 0.860 0.686 Na
0.297 0.360 0.686 Na
0.297 0.640 0.186 Na
0.703 0.360 0.814 Na
0.703 0.640 0.314 Na
0.797 0.140 0.314 Na
0.797 0.860 0.814 Na
0.162 0.329 0.958 U
0.162 0.671 0.458 U
0.338 0.171 0.458 U
0.338 0.829 0.958 U
0.662 0.171 0.042 U
0.662 0.829 0.542 U
0.838 0.329 0.542 U
0.838 0.671 0.042 U
0.060 0.404 0.293 H
0.060 0.596 0.793 H
0.440 0.096 0.793 H
0.440 0.904 0.293 H
0.560 0.096 0.707 H
0.560 0.904 0.207 H
0.940 0.404 0.207 H
0.940 0.596 0.707 H
0.000 0.037 0.750 O
0.000 0.337 0.250 O
0.000 0.663 0.750 O
0.000 0.963 0.250 O
0.500 0.163 0.750 O
0.500 0.463 0.250 O
0.500 0.537 0.750 O
0.500 0.837 0.250 O
0.014 0.202 0.428 F
0.014 0.798 0.928 F
0.082 0.496 0.074 F
0.082 0.504 0.574 F
0.140 0.215 0.577 F
0.140 0.785 0.077 F
0.154 0.339 0.822 F
0.154 0.661 0.322 F
0.211 0.074 0.936 F
0.211 0.926 0.436 F
0.289 0.426 0.436 F
0.289 0.574 0.936 F
0.346 0.161 0.322 F
0.346 0.839 0.822 F
0.360 0.285 0.077 F
0.360 0.715 0.577 F
0.418 0.004 0.574 F
0.418 0.996 0.074 F
0.486 0.298 0.928 F
0.486 0.702 0.428 F
0.514 0.298 0.572 F
0.514 0.702 0.072 F
0.582 0.004 0.926 F
0.582 0.996 0.426 F
0.640 0.285 0.423 F
0.640 0.715 0.923 F
0.654 0.161 0.178 F
0.654 0.839 0.678 F
0.711 0.426 0.064 F
0.711 0.574 0.564 F
0.789 0.074 0.564 F
0.789 0.926 0.064 F
0.846 0.339 0.678 F
0.846 0.661 0.178 F
0.860 0.215 0.923 F
0.860 0.785 0.423 F
0.918 0.496 0.426 F
0.918 0.504 0.926 F
0.986 0.202 0.072 F
0.986 0.798 0.572 F